1.
This record from Materials Project describes a relaxed structure of Na5Hf2Al2SiP5O24. The functional is PBE-GGA.

Lattice parameters (Å, degrees): 8.801 8.782 22.214 90.02 89.94 119.85
Sites, in units of the cell vectors:
Na (0.002, 0.635, 0.252)
Na (0.634, 0.642, 0.753)
Na (0.364, 0.997, 0.753)
Na (0.663, 0.969, 0.585)
Na (0.297, 0.968, 0.085)
Na (0.673, 0.699, 0.083)
Na (0.029, 0.333, 0.085)
Na (0.969, 0.301, 0.415)
Na (0.336, 0.033, 0.417)
Na (0.003, 0.990, 0.498)
Na (0.000, 0.997, 0.999)
Na (0.677, 0.331, 0.840)
Na (0.658, 0.335, 0.336)
Na (0.340, 0.667, 0.173)
Na (0.319, 0.656, 0.669)
Hf (0.997, 0.002, 0.857)
Hf (0.005, 0.000, 0.646)
Hf (0.669, 0.329, 0.686)
Hf (0.665, 0.331, 0.190)
Hf (0.330, 0.667, 0.016)
Hf (0.332, 0.666, 0.517)
Al (0.996, 0.996, 0.350)
Al (0.997, 0.994, 0.152)
Al (0.672, 0.341, 0.978)
Al (0.662, 0.339, 0.480)
Al (0.341, 0.666, 0.314)
Al (0.333, 0.667, 0.818)
Si (0.698, 0.993, 0.751)
Si (0.377, 0.048, 0.578)
Si (0.952, 0.627, 0.083)
P (0.281, 0.993, 0.253)
P (0.710, 0.723, 0.252)
P (0.010, 0.286, 0.252)
P (0.289, 0.301, 0.752)
P (0.008, 0.706, 0.753)
P (0.954, 0.335, 0.578)
P (0.668, 0.618, 0.580)
P (0.674, 0.050, 0.082)
P (0.376, 0.326, 0.082)
P (0.621, 0.654, 0.916)
P (0.036, 0.382, 0.915)
P (0.347, 0.970, 0.915)
P (0.630, 0.958, 0.413)
P (0.336, 0.374, 0.412)
P (0.035, 0.666, 0.412)
O (0.194, 0.019, 0.309)
O (0.835, 0.808, 0.305)
O (0.982, 0.174, 0.308)
O (0.211, 0.174, 0.805)
O (0.972, 0.794, 0.806)
O (0.828, 0.026, 0.807)
O (0.781, 0.958, 0.690)
O (0.179, 0.214, 0.695)
O (0.042, 0.825, 0.696)
O (0.792, 0.826, 0.192)
O (0.028, 0.199, 0.193)
O (0.169, 0.965, 0.195)
O (0.874, 0.363, 0.636)
O (0.490, 0.126, 0.640)
O (0.643, 0.521, 0.641)
O (0.875, 0.505, 0.144)
O (0.630, 0.124, 0.138)
O (0.492, 0.364, 0.139)
O (0.460, 0.292, 0.027)
O (0.822, 0.529, 0.027)
O (0.702, 0.166, 0.027)
O (0.477, 0.164, 0.519)
O (0.693, 0.527, 0.526)
O (0.840, 0.309, 0.522)
O (0.542, 0.687, 0.974)
O (0.144, 0.458, 0.975)
O (0.314, 0.856, 0.974)
O (0.553, 0.852, 0.472)
O (0.296, 0.451, 0.469)
O (0.158, 0.704, 0.468)
O (0.123, 0.630, 0.358)
O (0.498, 0.864, 0.361)
O (0.361, 0.495, 0.358)
O (0.137, 0.500, 0.862)
O (0.364, 0.873, 0.860)
O (0.508, 0.637, 0.860)
O (0.021, 0.835, 0.406)
O (0.816, 0.984, 0.405)
O (0.170, 0.187, 0.406)
O (0.022, 0.199, 0.912)
O (0.180, 0.985, 0.912)
O (0.806, 0.820, 0.912)
O (0.963, 0.164, 0.585)
O (0.183, 0.025, 0.584)
O (0.829, 0.807, 0.585)
O (0.977, 0.825, 0.093)
O (0.839, 0.031, 0.091)
O (0.189, 0.166, 0.092)
O (0.672, 0.165, 0.748)
O (0.476, 0.325, 0.744)
O (0.838, 0.529, 0.745)
O (0.695, 0.536, 0.246)
O (0.844, 0.310, 0.247)
O (0.466, 0.158, 0.247)
O (0.635, 0.488, 0.923)
O (0.855, 0.363, 0.923)
O (0.512, 0.148, 0.924)
O (0.649, 0.145, 0.419)
O (0.500, 0.353, 0.420)
O (0.855, 0.498, 0.423)
O (0.357, 0.494, 0.077)
O (0.151, 0.651, 0.079)
O (0.512, 0.860, 0.077)
O (0.363, 0.854, 0.576)
O (0.505, 0.643, 0.575)
O (0.139, 0.494, 0.575)
O (0.299, 0.825, 0.259)
O (0.525, 0.700, 0.259)
O (0.170, 0.476, 0.257)
O (0.309, 0.483, 0.761)
O (0.171, 0.688, 0.761)
O (0.504, 0.818, 0.760)

Summary:
For the spin magnetization, the calculation gives 0.000 μB per atom. For the volume, the calculation gives 1489.17 Å³ per cell. For the formation enthalpy at 0 K, the calculation gives -3.029 eV/atom. Its symmetry is P1, No. 1.

2.
This record from Materials Project describes a relaxed structure of Na4HfAlSi2PO12. The functional is PBE-GGA.

Lattice parameters (Å, degrees): 8.979 8.979 22.154 89.45 90.55 119.47
Sites, in units of the cell vectors:
Na (0.640, 0.004, 0.250)
Na (0.369, 0.367, 0.246)
Na (0.992, 0.627, 0.250)
Na (0.633, 0.631, 0.746)
Na (0.996, 0.360, 0.750)
Na (0.373, 0.008, 0.750)
Na (0.306, 0.337, 0.583)
Na (0.036, 0.700, 0.580)
Na (0.659, 0.960, 0.583)
Na (0.300, 0.964, 0.080)
Na (0.663, 0.694, 0.083)
Na (0.040, 0.341, 0.083)
Na (0.973, 0.671, 0.917)
Na (0.702, 0.033, 0.913)
Na (0.325, 0.293, 0.916)
Na (0.967, 0.298, 0.413)
Na (0.329, 0.027, 0.417)
Na (0.707, 0.675, 0.416)
Na (0.998, 0.994, 0.497)
Na (0.006, 0.002, 0.997)
Na (0.665, 0.327, 0.830)
Na (0.673, 0.335, 0.330)
Na (0.332, 0.661, 0.164)
Na (0.339, 0.668, 0.664)
Hf (0.998, 0.000, 0.648)
Hf (0.000, 0.002, 0.148)
Hf (0.665, 0.333, 0.982)
Hf (0.667, 0.335, 0.482)
Hf (0.332, 0.667, 0.315)
Hf (0.333, 0.668, 0.815)
Al (0.984, 0.989, 0.352)
Al (0.011, 0.016, 0.852)
Al (0.650, 0.322, 0.685)
Al (0.678, 0.350, 0.185)
Al (0.317, 0.655, 0.018)
Al (0.345, 0.683, 0.518)
Si (0.709, 0.703, 0.251)
Si (0.992, 0.288, 0.252)
Si (0.297, 0.291, 0.751)
Si (0.712, 0.008, 0.752)
Si (0.376, 0.037, 0.584)
Si (0.659, 0.621, 0.585)
Si (0.963, 0.624, 0.084)
Si (0.379, 0.341, 0.085)
Si (0.043, 0.370, 0.918)
Si (0.326, 0.954, 0.918)
Si (0.630, 0.957, 0.418)
Si (0.046, 0.674, 0.418)
P (0.293, 0.006, 0.252)
P (0.994, 0.707, 0.752)
P (0.960, 0.339, 0.585)
P (0.661, 0.040, 0.085)
P (0.627, 0.673, 0.919)
P (0.327, 0.373, 0.419)
O (0.206, 0.034, 0.307)
O (0.834, 0.796, 0.309)
O (0.968, 0.164, 0.310)
O (0.204, 0.166, 0.809)
O (0.966, 0.794, 0.807)
O (0.836, 0.032, 0.810)
O (0.790, 0.964, 0.692)
O (0.175, 0.210, 0.691)
O (0.031, 0.820, 0.695)
O (0.790, 0.825, 0.191)
O (0.036, 0.210, 0.192)
O (0.180, 0.969, 0.195)
O (0.872, 0.367, 0.641)
O (0.501, 0.129, 0.642)
O (0.634, 0.497, 0.643)
O (0.871, 0.499, 0.142)
O (0.633, 0.128, 0.141)
O (0.503, 0.366, 0.143)
O (0.456, 0.298, 0.025)
O (0.841, 0.543, 0.025)
O (0.698, 0.154, 0.028)
O (0.457, 0.159, 0.525)
O (0.702, 0.544, 0.525)
O (0.846, 0.302, 0.528)
O (0.539, 0.701, 0.974)
O (0.168, 0.462, 0.976)
O (0.301, 0.830, 0.977)
O (0.538, 0.832, 0.476)
O (0.299, 0.461, 0.474)
O (0.170, 0.699, 0.477)
O (0.123, 0.631, 0.358)
O (0.508, 0.877, 0.358)
O (0.365, 0.487, 0.361)
O (0.123, 0.492, 0.858)
O (0.369, 0.877, 0.858)
O (0.513, 0.635, 0.861)
O (0.031, 0.849, 0.409)
O (0.821, 0.978, 0.411)
O (0.170, 0.194, 0.411)
O (0.022, 0.179, 0.911)
O (0.151, 0.969, 0.909)
O (0.806, 0.830, 0.911)
O (0.977, 0.175, 0.589)
O (0.185, 0.019, 0.589)
O (0.830, 0.813, 0.589)
O (0.981, 0.815, 0.089)
O (0.825, 0.023, 0.089)
O (0.187, 0.170, 0.089)
O (0.697, 0.182, 0.743)
O (0.488, 0.311, 0.744)
O (0.837, 0.527, 0.744)
O (0.689, 0.512, 0.244)
O (0.818, 0.303, 0.243)
O (0.473, 0.163, 0.244)
O (0.643, 0.508, 0.922)
O (0.852, 0.352, 0.922)
O (0.497, 0.146, 0.922)
O (0.648, 0.148, 0.422)
O (0.492, 0.357, 0.422)
O (0.854, 0.503, 0.422)
O (0.364, 0.516, 0.076)
O (0.154, 0.644, 0.077)
O (0.503, 0.861, 0.078)
O (0.356, 0.846, 0.577)
O (0.484, 0.636, 0.576)
O (0.139, 0.497, 0.578)
O (0.310, 0.841, 0.256)
O (0.518, 0.686, 0.255)
O (0.164, 0.480, 0.255)
O (0.314, 0.482, 0.755)
O (0.159, 0.690, 0.756)
O (0.520, 0.836, 0.755)

Summary:
For the spin magnetization, the calculation gives 0.000 μB per atom. For the volume, the calculation gives 1554.81 Å³ per cell. For the formation enthalpy at 0 K, the calculation gives -3.010 eV/atom.

3.
This record from Materials Project describes a relaxed structure of Na3HfAlSi2SO12. The functional is PBE-GGA.

Lattice parameters (Å, degrees): 8.954 8.954 22.169 91.32 88.68 120.21
Sites, in units of the cell vectors:
Na (0.624, 0.999, 0.240)
Na (0.004, 0.651, 0.243)
Na (0.001, 0.376, 0.740)
Na (0.349, 0.996, 0.743)
Na (0.291, 0.332, 0.573)
Na (0.670, 0.985, 0.576)
Na (0.668, 0.709, 0.073)
Na (0.015, 0.330, 0.076)
Na (0.957, 0.666, 0.907)
Na (0.337, 0.318, 0.910)
Na (0.334, 0.043, 0.407)
Na (0.682, 0.663, 0.410)
Na (0.005, 0.032, 0.493)
Na (0.968, 0.995, 0.993)
Na (0.671, 0.365, 0.827)
Na (0.635, 0.329, 0.327)
Na (0.338, 0.698, 0.160)
Na (0.302, 0.662, 0.660)
Hf (0.014, 0.001, 0.646)
Hf (0.999, 0.986, 0.146)
Hf (0.680, 0.335, 0.979)
Hf (0.665, 0.320, 0.479)
Hf (0.347, 0.668, 0.313)
Hf (0.332, 0.653, 0.813)
Al (0.004, 0.008, 0.353)
Al (0.992, 0.996, 0.853)
Al (0.670, 0.341, 0.686)
Al (0.659, 0.330, 0.186)
Al (0.337, 0.675, 0.019)
Al (0.325, 0.663, 0.519)
Si (0.296, 0.012, 0.254)
Si (0.715, 0.699, 0.252)
Si (0.301, 0.285, 0.752)
Si (0.988, 0.704, 0.754)
Si (0.963, 0.346, 0.588)
Si (0.381, 0.032, 0.585)
Si (0.968, 0.619, 0.085)
Si (0.654, 0.037, 0.088)
Si (0.629, 0.679, 0.921)
Si (0.048, 0.365, 0.918)
Si (0.635, 0.952, 0.418)
Si (0.321, 0.371, 0.421)
S (0.997, 0.286, 0.253)
S (0.714, 0.003, 0.753)
S (0.663, 0.619, 0.586)
S (0.381, 0.337, 0.086)
S (0.330, 0.953, 0.919)
S (0.047, 0.670, 0.419)
O (0.198, 0.026, 0.315)
O (0.839, 0.798, 0.310)
O (0.984, 0.177, 0.303)
O (0.202, 0.161, 0.810)
O (0.974, 0.802, 0.815)
O (0.823, 0.016, 0.803)
O (0.782, 0.977, 0.694)
O (0.178, 0.205, 0.692)
O (0.018, 0.827, 0.697)
O (0.795, 0.822, 0.192)
O (0.023, 0.218, 0.194)
O (0.173, 0.982, 0.197)
O (0.865, 0.359, 0.649)
O (0.505, 0.132, 0.643)
O (0.650, 0.510, 0.636)
O (0.868, 0.495, 0.143)
O (0.641, 0.135, 0.149)
O (0.490, 0.350, 0.136)
O (0.449, 0.311, 0.027)
O (0.845, 0.539, 0.025)
O (0.685, 0.161, 0.030)
O (0.461, 0.155, 0.525)
O (0.689, 0.551, 0.527)
O (0.839, 0.315, 0.530)
O (0.532, 0.692, 0.982)
O (0.172, 0.465, 0.976)
O (0.317, 0.843, 0.970)
O (0.535, 0.828, 0.476)
O (0.308, 0.468, 0.482)
O (0.157, 0.683, 0.470)
O (0.115, 0.644, 0.361)
O (0.512, 0.872, 0.358)
O (0.351, 0.494, 0.363)
O (0.128, 0.488, 0.858)
O (0.356, 0.885, 0.861)
O (0.506, 0.649, 0.863)
O (0.037, 0.830, 0.419)
O (0.822, 0.964, 0.408)
O (0.158, 0.175, 0.412)
O (0.036, 0.178, 0.908)
O (0.170, 0.963, 0.919)
O (0.825, 0.842, 0.912)
O (0.973, 0.163, 0.589)
O (0.188, 0.013, 0.587)
O (0.811, 0.800, 0.591)
O (0.987, 0.812, 0.087)
O (0.837, 0.027, 0.089)
O (0.200, 0.189, 0.091)
O (0.703, 0.163, 0.752)
O (0.488, 0.297, 0.741)
O (0.825, 0.508, 0.745)
O (0.703, 0.512, 0.241)
O (0.837, 0.297, 0.252)
O (0.492, 0.175, 0.245)
O (0.639, 0.496, 0.922)
O (0.855, 0.346, 0.921)
O (0.478, 0.133, 0.924)
O (0.654, 0.145, 0.421)
O (0.503, 0.361, 0.422)
O (0.867, 0.522, 0.424)
O (0.370, 0.496, 0.086)
O (0.155, 0.631, 0.074)
O (0.492, 0.842, 0.079)
O (0.369, 0.845, 0.574)
O (0.504, 0.630, 0.586)
O (0.158, 0.508, 0.579)
O (0.306, 0.830, 0.255)
O (0.522, 0.679, 0.254)
O (0.145, 0.467, 0.258)
O (0.321, 0.478, 0.754)
O (0.170, 0.694, 0.755)
O (0.533, 0.855, 0.758)

Summary:
For the spin magnetization, the calculation gives 0.000 μB per atom. For the volume, the calculation gives 1535.40 Å³ per cell. For the formation enthalpy at 0 K, the calculation gives -2.860 eV/atom.

Which value of formation enthalpy at 0 K does entry 3 give?
-2.860 eV/atom